Entry 1:
Here is crystalline K3CrC6N6 at its relaxed geometry from Materials Project. Energies are from GGA-PBE.

a = 8.5499 Å, b = 13.8003 Å, c = 13.7407 Å
α = 90.00°, β = 128.42°, γ = 90.00°
Last column: nearest neighbours and their distance in Å.
Space group P2_1/c (No. 14)
Unique sites:
K (0.1094, 0.2391, 0.4823) x4  6 N 2.83-3.09, 1 C 3.15
K (0.1386, 0.0021, 0.7640) x4  4 N 2.88-3.01
K (0.3306, 0.9995, 0.2071) x4  5 N 2.91-3.24
Cr (0.3940, 0.7432, 0.0176) x4  6 C 2.03-2.05
C (0.1682, 0.6621, 0.4616) x4  1 N 1.18
C (0.2220, 0.6828, 0.8440) x4  1 N 1.18
C (0.2863, 0.6502, 0.0791) x4  1 N 1.18
C (0.3765, 0.1489, 0.4201) x4  1 N 1.18
C (0.4403, 0.1910, 0.8140) x4  1 N 1.18
C (0.4897, 0.1582, 0.0329) x4  1 N 1.18
N (0.0425, 0.6071, 0.4372) x4  1 C 1.18
N (0.1228, 0.6480, 0.7442) x4  1 C 1.18
N (0.2262, 0.6007, 0.1198) x4  1 C 1.18
N (0.2409, 0.0966, 0.3824) x4  1 C 1.18
N (0.3467, 0.1491, 0.7188) x4  1 C 1.18
N (0.4209, 0.1011, 0.0609) x4  1 C 1.18

Output
As for the total magnetic moment: 12.00 Bohr magnetons per cell. For the formation energy, the calculation gives -0.268 eV per atom.

***

Entry 2:
Here is crystalline Ca13Ge22Au50 at its relaxed geometry from Materials Project. Energies are from GGA-PBE.

a = 14.9480 Å, b = 14.9480 Å, c = 14.9480 Å
α = 90.00°, β = 90.00°, γ = 90.00°
Last column: nearest neighbours and their distance in Å.
Space group Im-3 (No. 204)
Unique sites:
Ca (0.0000, 0.0000, 0.0000) x2  8 Au 3.67, 12 Ge 3.68
Ca (0.0000, 0.3062, 0.1888) x24  12 Au 3.15-3.32, 4 Ge 3.31-3.35
Ge (0.0000, 0.0867, 0.2305) x24  1 Ge 2.59, 5 Au 2.63-2.84
Ge (0.0000, 0.1990, 0.5000) x12  8 Au 2.65-2.89
Ge (0.2500, 0.2500, 0.2500) x8  8 Au 2.67-2.80
Au (0.0000, 0.0000, 0.3996) x12  2 Ge 2.84, 5 Au 3.00-3.01, 2 Ca 3.15
Au (0.0000, 0.3547, 0.4027) x24  2 Ge 2.65-2.74, 3 Au 2.91-2.92
Au (0.1035, 0.1965, 0.3366) x48  3 Ge 2.67-2.89, 1 Au 2.92
Au (0.1417, 0.1417, 0.1417) x16  4 Ge 2.63-2.80

Output
As for the total magnetic moment: 0.00 Bohr magnetons per cell. For the formation energy, the calculation gives -0.374 eV per atom.

***

Entry 3:
Here is crystalline Eu2ZrTiO6 at its relaxed geometry from Materials Project. Energies are from GGA-PBE.

a = 8.1051 Å, b = 8.1051 Å, c = 8.1051 Å
α = 90.00°, β = 90.00°, γ = 90.00°
Last column: nearest neighbours and their distance in Å.
Space group Fm-3m (No. 225)
Unique sites:
Eu (0.2500, 0.2500, 0.2500) x8  12 O 2.87
Zr (0.0000, 0.0000, 0.0000) x4  6 O 2.09
Ti (0.0000, 0.0000, 0.5000) x4  6 O 1.97
O (0.0000, 0.0000, 0.2573) x24  1 Ti 1.97, 1 Zr 2.09

Output
As for the total magnetic moment: 56.00 Bohr magnetons per cell. For the formation energy, the calculation gives -3.543 eV per atom.

***

Entry 4:
Here is crystalline Tm5BiPd2 at its relaxed geometry from Materials Project. Energies are from GGA-PBE.

a = 7.6754 Å, b = 7.6754 Å, c = 13.8370 Å
α = 90.00°, β = 90.00°, γ = 90.00°
Last column: nearest neighbours and their distance in Å.
Space group I4/mcm (No. 140)
Unique sites:
Tm (0.0000, 0.0000, 0.0000) x4  4 Pd 2.97
Tm (0.1550, 0.3450, 0.1393) x16  3 Pd 2.95-2.97, 2 Bi 3.28
Bi (0.0000, 0.0000, 0.2500) x4  10 Tm 3.28-3.46
Pd (0.1391, 0.3609, 0.5000) x8  8 Tm 2.95-2.97, 1 Pd 3.02

Output
For the formation energy, the calculation gives -0.707 eV per atom.

***

Entry 5:
Here is crystalline Y5Co4Ge10 at its relaxed geometry from Materials Project. Energies are from GGA-PBE.

a = 12.7977 Å, b = 12.7977 Å, c = 4.1998 Å
α = 90.00°, β = 90.00°, γ = 90.00°
Last column: nearest neighbours and their distance in Å.
Space group P4/mbm (No. 127)
Unique sites:
Y (0.0000, 0.0000, 0.0000) x2  12 Ge 3.00-3.22, 4 Co 3.15
Y (0.1119, 0.3881, 0.5000) x4  10 Ge 3.17-3.26, 4 Co 3.30
Y (0.1773, 0.6773, 0.5000) x4  8 Ge 2.88-3.02, 4 Co 3.03
Co (0.0255, 0.7552, 0.0000) x8  5 Ge 2.34-2.49
Ge (0.0037, 0.8330, 0.5000) x8  2 Co 2.34
Ge (0.0686, 0.5686, 0.0000) x4  2 Co 2.45, 1 Ge 2.48
Ge (0.1548, 0.1979, 0.0000) x8  2 Co 2.38-2.49, 1 Ge 2.67

Output
As for the total magnetic moment: 0.01 Bohr magnetons per cell. For the formation energy, the calculation gives -0.654 eV per atom.

***

Entry 6:
Here is crystalline Zn2In2O5 at its relaxed geometry from Materials Project. Energies are from GGA-PBE.

a = 3.4807 Å, b = 3.4807 Å, c = 23.1975 Å
α = 90.00°, β = 90.00°, γ = 120.00°
Last column: nearest neighbours and their distance in Å.
Space group P6_3mc (No. 186)
Unique sites:
Zn (0.3333, 0.6667, 0.0000) x2  4 O 1.98-2.10
Zn (0.3333, 0.6667, 0.2389) x2  4 O 2.00-2.07
In (0.0000, 0.0000, 0.3691) x2  6 O 2.25-2.27
In (0.3333, 0.6667, 0.6210) x2  5 O 2.01-2.22
O (0.3333, 0.6667, 0.1250) x2  3 In 2.01
O (0.3333, 0.6667, 0.3252) x2  1 Zn 2.00
O (0.3333, 0.6667, 0.5258) x2  3 Zn 2.10, 1 In 2.21
O (0.3333, 0.6667, 0.7167) x2  3 Zn 2.07, 1 In 2.22
O (0.3333, 0.6667, 0.9147) x2  1 Zn 1.98

Output
As for the total magnetic moment: 0.00 Bohr magnetons per cell. For the formation energy, the calculation gives -1.823 eV per atom.

***

Entry 7:
Here is crystalline Cs2CeTa6Br15O3 at its relaxed geometry from Materials Project. Energies are from GGA-PBE.

a = 9.6534 Å, b = 9.6534 Å, c = 18.4127 Å
α = 90.00°, β = 90.00°, γ = 120.00°
Last column: nearest neighbours and their distance in Å.
Space group P-31c (No. 163)
Unique sites:
Cs (0.3333, 0.6667, 0.0470) x4  9 Br 3.72-3.90
Ce (0.3333, 0.6667, 0.7500) x2  3 O 2.56
Ta (0.0170, 0.1888, 0.8131) x12  1 O 1.99
Br (0.0185, 0.2209, 0.0878) x12  2 Ta 2.64-2.65
Br (0.0760, 0.4703, 0.8818) x12  1 Ta 2.79, 1 O 3.01
Br (0.2128, 0.4255, 0.2500) x6  2 Ta 2.61
O (0.1804, 0.3609, 0.7500) x6  2 Ta 1.99

Output
As for the total magnetic moment: 2.00 Bohr magnetons per cell. For the formation energy, the calculation gives -1.549 eV per atom.

***

Entry 8:
Here is crystalline TbY3Ni8B8C4 at its relaxed geometry from Materials Project. Energies are from GGA-PBE.

a = 3.5336 Å, b = 3.5336 Å, c = 20.8465 Å
α = 90.00°, β = 90.00°, γ = 90.00°
Last column: nearest neighbours and their distance in Å.
Space group P4/mmm (No. 123)
Unique sites:
Tb (0.0000, 0.0000, 0.0000) x1  4 C 2.50
Y (0.0000, 0.0000, 0.5000) x1  4 C 2.50
Y (0.5000, 0.5000, 0.2500) x2  4 C 2.50
Ni (0.0000, 0.5000, 0.1250) x4  4 B 2.09
Ni (0.0000, 0.5000, 0.3750) x4  4 B 2.09
B (0.0000, 0.0000, 0.1786) x2  1 C 1.49
B (0.0000, 0.0000, 0.3213) x2  1 C 1.49
B (0.5000, 0.5000, 0.0714) x2  1 C 1.49
B (0.5000, 0.5000, 0.4286) x2  1 C 1.49
C (0.0000, 0.0000, 0.2499) x2  2 B 1.49
C (0.5000, 0.5000, 0.0000) x1  2 B 1.49
C (0.5000, 0.5000, 0.5000) x1  2 B 1.49

Output
As for the total magnetic moment: 0.00 Bohr magnetons per cell. For the formation energy, the calculation gives -0.506 eV per atom.